! NaMo3Se4 PBE relaxed; values from VASP
! **Space group**: P-1 (2)
! **DFT formation energy**: -0.85 eV/atom
&SYSTEM
  ibrav = 0, nat = 16, ntyp = 3
/
ATOMIC_SPECIES
Na 22.99 Na.upf
Mo 95.94 Mo.upf
Se 78.96 Se.upf
ATOMIC_POSITIONS crystal
Na 0.093 0.331 0.056
Na 0.907 0.669 0.944
Mo 0.250 0.894 0.556
Mo 0.412 0.047 0.250
Mo 0.462 0.256 0.590
Mo 0.538 0.744 0.410
Mo 0.588 0.953 0.750
Mo 0.750 0.106 0.444
Se 0.144 0.196 0.411
Se 0.214 0.706 0.234
Se 0.299 0.088 0.878
Se 0.379 0.613 0.720
Se 0.621 0.387 0.280
Se 0.701 0.912 0.122
Se 0.786 0.294 0.766
Se 0.856 0.804 0.589
CELL_PARAMETERS angstrom
7.063 0.000 0.000
-1.309 6.978 0.000
-0.131 -0.353 7.118

---

! Ta2InBiO8 PBE relaxed; values from VASP
! **Space group**: P-1 (2)
! **DFT formation energy**: -2.71 eV/atom
&SYSTEM
  ibrav = 0, nat = 24, ntyp = 4
/
ATOMIC_SPECIES
Ta 180.95 Ta.upf
In 114.82 In.upf
Bi 208.98 Bi.upf
O 16.00 O.upf
ATOMIC_POSITIONS crystal
Ta 0.239 0.188 0.153
Ta 0.243 0.693 0.172
Ta 0.757 0.307 0.828
Ta 0.761 0.812 0.847
In 0.239 0.117 0.616
In 0.761 0.883 0.384
Bi 0.276 0.627 0.648
Bi 0.724 0.373 0.352
O 0.028 0.163 0.387
O 0.037 0.350 0.668
O 0.066 0.698 0.956
O 0.136 0.951 0.162
O 0.325 0.439 0.200
O 0.444 0.219 0.953
O 0.454 0.700 0.389
O 0.475 0.888 0.681
O 0.525 0.112 0.319
O 0.546 0.300 0.611
O 0.556 0.781 0.047
O 0.675 0.561 0.800
O 0.864 0.049 0.838
O 0.934 0.302 0.044
O 0.963 0.650 0.332
O 0.972 0.837 0.613
CELL_PARAMETERS angstrom
5.429 0.000 0.000
0.204 7.666 0.000
0.127 1.552 7.766

---

! HfMg6C PBE relaxed; values from VASP
! **Space group**: Amm2 (38)
! **DFT formation energy**: 0.23 eV/atom
&SYSTEM
  ibrav = 0, nat = 8, ntyp = 3
/
ATOMIC_SPECIES
Hf 178.49 Hf.upf
Mg 24.30 Mg.upf
C 12.01 C.upf
ATOMIC_POSITIONS crystal
Hf 0.000 0.000 0.000
Mg 0.000 0.079 0.467
Mg 0.000 0.467 0.079
Mg 0.000 0.566 0.566
Mg 0.500 0.288 0.747
Mg 0.500 0.747 0.288
Mg 0.500 0.772 0.772
C 0.500 0.984 0.984
CELL_PARAMETERS angstrom
4.471 0.000 0.000
0.000 3.958 5.046
0.000 -3.958 5.046

---

! Ca6Si2O13 PBE relaxed; values from VASP
! **Space group**: P-3 (147)
! **DFT formation energy**: -2.71 eV/atom
&SYSTEM
  ibrav = 0, nat = 42, ntyp = 3
/
ATOMIC_SPECIES
Ca 40.08 Ca.upf
Si 28.09 Si.upf
O 16.00 O.upf
ATOMIC_POSITIONS crystal
Ca 0.045 0.666 0.378
Ca 0.047 0.665 0.870
Ca 0.334 0.379 0.378
Ca 0.335 0.382 0.870
Ca 0.379 0.045 0.622
Ca 0.382 0.047 0.130
Ca 0.618 0.953 0.870
Ca 0.621 0.955 0.378
Ca 0.665 0.618 0.130
Ca 0.666 0.621 0.622
Ca 0.953 0.335 0.130
Ca 0.955 0.334 0.622
Si 0.333 0.667 0.094
Si 0.333 0.667 0.656
Si 0.667 0.333 0.344
Si 0.667 0.333 0.906
O 0.072 0.301 0.369
O 0.083 0.318 0.881
O 0.153 0.586 0.603
O 0.153 0.588 0.147
O 0.229 0.928 0.369
O 0.236 0.917 0.881
O 0.301 0.229 0.631
O 0.318 0.236 0.119
O 0.333 0.667 0.875
O 0.412 0.565 0.147
O 0.414 0.567 0.603
O 0.433 0.847 0.603
O 0.435 0.847 0.147
O 0.565 0.153 0.853
O 0.567 0.153 0.397
O 0.586 0.433 0.397
O 0.588 0.435 0.853
O 0.667 0.333 0.125
O 0.682 0.764 0.881
O 0.699 0.771 0.369
O 0.764 0.083 0.119
O 0.771 0.072 0.631
O 0.847 0.412 0.853
O 0.847 0.414 0.397
O 0.917 0.682 0.119
O 0.928 0.699 0.631
CELL_PARAMETERS angstrom
10.181 0.000 0.000
-5.090 8.817 0.000
0.000 0.000 7.580